Rb2UO4: optimized geometry, meta-GGA r2SCAN.

POSCAR file:
```
Rb2UO4
1.0
-2.177 2.177 6.970
2.177 -2.177 6.970
2.177 2.177 -6.970
Rb O U
2 4 1
direct
0.654 0.654 0.000
0.346 0.346 0.000
0.000 0.500 0.500
0.500 0.000 0.500
0.861 0.861 0.000
0.139 0.139 0.000
0.000 0.000 0.000
```

Its symmetry is I4/mmm, No. 139. As for the total energy: -21.696 eV/atom.



RbV3O8: optimized geometry, meta-GGA r2SCAN.

POSCAR file:
```
RbV3O8
1.0
-6.332 -5.333 -1.520
3.027 -2.779 -2.860
2.632 -4.760 5.739
O V Rb
16 6 2
direct
0.250 0.878 0.427
0.900 0.113 0.272
0.750 0.583 0.248
0.588 0.683 0.495
0.435 0.569 0.171
0.250 0.417 0.752
0.565 0.431 0.829
0.935 0.431 0.829
0.912 0.683 0.495
0.750 0.122 0.573
0.412 0.317 0.505
0.088 0.317 0.505
0.100 0.887 0.728
0.600 0.113 0.272
0.065 0.569 0.171
0.400 0.887 0.728
0.554 0.439 0.318
0.446 0.561 0.682
0.250 0.074 0.574
0.054 0.561 0.682
0.750 0.926 0.426
0.946 0.439 0.318
0.250 0.063 0.064
0.750 0.937 0.936
```

Its symmetry is P2_1/m, No. 11. As for the total energy: -11.156 eV/atom.



Rb2V4O9: optimized geometry, meta-GGA r2SCAN.

POSCAR file:
```
Rb2V4O9
1.0
5.653 0.000 0.000
0.000 5.653 0.000
0.000 0.000 14.864
V O Rb
8 18 4
direct
0.286 0.151 0.800
0.714 0.849 0.200
0.849 0.286 0.300
0.849 0.286 0.700
0.714 0.849 0.800
0.151 0.714 0.700
0.286 0.151 0.200
0.151 0.714 0.300
0.765 0.223 0.597
0.765 0.223 0.403
0.816 0.622 0.289
0.816 0.622 0.711
0.000 0.000 0.250
0.378 0.816 0.789
0.622 0.184 0.211
0.777 0.765 0.903
0.184 0.378 0.289
0.622 0.184 0.789
0.223 0.235 0.097
0.235 0.777 0.597
0.235 0.777 0.403
0.223 0.235 0.903
0.184 0.378 0.711
0.378 0.816 0.211
0.000 0.000 0.750
0.777 0.765 0.097
0.729 0.752 0.500
0.752 0.271 0.000
0.248 0.729 0.000
0.271 0.248 0.500
```

Its symmetry is P4_2/m, No. 84. As for the total energy: -11.757 eV/atom.



RbVO3: optimized geometry, meta-GGA r2SCAN.

POSCAR file:
```
RbVO3
1.0
-2.503 4.395 -1.648
-2.867 0.216 4.928
8.209 6.360 4.497
O V Rb
12 4 4
direct
0.571 0.000 0.250
0.399 0.750 0.966
0.601 0.250 0.034
0.399 0.250 0.534
0.429 0.000 0.750
0.156 0.750 0.349
0.571 0.500 0.250
0.844 0.250 0.651
0.156 0.250 0.151
0.844 0.750 0.849
0.429 0.500 0.750
0.601 0.750 0.466
0.467 0.750 0.335
0.467 0.250 0.165
0.533 0.250 0.665
0.533 0.750 0.835
0.933 0.750 0.101
0.933 0.250 0.399
0.067 0.750 0.601
0.067 0.250 0.899
```

Its symmetry is Pbcm, No. 57. As for the total energy: -11.696 eV/atom.



Rb3YbV2O8: optimized geometry, meta-GGA r2SCAN.

POSCAR file:
```
Rb3YbV2O8
1.0
1.047 4.055 -4.223
4.352 -1.612 3.719
2.112 -5.683 -4.934
O Rb Yb V
8 3 1 2
direct
0.174 0.348 0.335
0.826 0.652 0.665
0.826 0.174 0.665
0.652 0.826 0.335
0.174 0.826 0.335
0.667 0.333 0.952
0.333 0.667 0.048
0.348 0.174 0.665
0.333 0.667 0.700
0.667 0.333 0.300
0.000 0.000 0.000
0.000 0.000 0.500
0.667 0.333 0.740
0.333 0.667 0.260
```

Its symmetry is P-3m1, No. 164. As for the total energy: -13.824 eV/atom.



RbW6O18: optimized geometry, meta-GGA r2SCAN.

POSCAR file:
```
RbW6O18
1.0
-3.704 3.811 6.416
3.704 -3.811 6.416
3.704 3.811 -6.416
W O Rb
6 18 1
direct
0.251 0.500 0.751
0.749 0.500 0.249
0.500 0.500 0.500
0.000 0.500 0.000
0.500 0.000 0.000
0.000 0.000 0.500
0.540 0.787 0.753
0.141 0.575 0.929
0.250 0.000 0.749
0.354 0.787 0.929
0.750 0.000 0.251
0.354 0.425 0.567
0.500 0.500 0.000
0.859 0.425 0.071
0.141 0.213 0.567
0.460 0.213 0.247
0.000 0.500 0.500
0.034 0.787 0.247
0.646 0.213 0.071
0.750 0.499 0.749
0.250 0.501 0.251
0.646 0.575 0.433
0.966 0.213 0.753
0.859 0.787 0.433
0.000 0.000 0.000
```

Its symmetry is Immm, No. 71. As for the total energy: -19.513 eV/atom.



Rb4WO5: optimized geometry, meta-GGA r2SCAN.

POSCAR file:
```
Rb4WO5
1.0
-1.912 5.238 3.399
3.466 -5.647 8.343
15.762 7.184 -3.454
O Rb W
30 24 6
direct
0.067 0.684 0.494
0.959 0.193 0.286
0.822 0.166 0.618
0.463 0.819 0.017
0.658 0.900 0.793
0.095 0.258 0.150
0.933 0.316 0.506
0.178 0.834 0.382
0.041 0.807 0.714
0.620 0.841 0.194
0.350 0.660 0.124
0.149 0.140 0.923
0.790 0.864 0.413
0.345 0.400 0.253
0.342 0.100 0.207
0.041 0.376 0.683
0.537 0.181 0.983
0.210 0.136 0.587
0.276 0.388 0.924
0.351 0.218 0.346
0.380 0.159 0.806
0.689 0.619 0.427
0.905 0.742 0.850
0.851 0.860 0.077
0.724 0.612 0.076
0.959 0.624 0.317
0.649 0.782 0.654
0.655 0.600 0.747
0.650 0.340 0.876
0.311 0.381 0.573
0.450 0.999 0.680
0.438 0.408 0.094
0.928 0.147 0.780
0.054 0.081 0.417
0.550 0.001 0.320
0.991 0.489 0.821
0.231 0.038 0.058
0.075 0.690 0.004
0.925 0.310 0.996
0.460 0.797 0.496
0.239 0.453 0.428
0.761 0.547 0.572
0.946 0.919 0.583
0.072 0.853 0.220
0.562 0.592 0.906
0.009 0.511 0.179
0.280 0.615 0.656
0.733 0.096 0.147
0.452 0.663 0.290
0.548 0.337 0.710
0.267 0.904 0.853
0.540 0.203 0.504
0.720 0.385 0.344
0.769 0.962 0.942
0.401 0.242 0.902
0.782 0.766 0.751
0.599 0.758 0.098
0.062 0.275 0.593
0.218 0.234 0.249
0.938 0.725 0.407
```

Its symmetry is P-1, No. 2. As for the total energy: -15.767 eV/atom.



Rb2ZnO2: optimized geometry, meta-GGA r2SCAN.

POSCAR file:
```
Rb2ZnO2
1.0
6.329 0.000 0.000
0.000 9.562 0.036
0.000 7.698 13.954
O Rb Zn
16 16 8
direct
0.397 0.383 0.358
0.807 0.141 0.801
0.721 0.258 0.972
0.779 0.258 0.472
0.693 0.141 0.301
0.867 0.634 0.927
0.221 0.742 0.528
0.307 0.859 0.699
0.897 0.617 0.142
0.603 0.617 0.642
0.633 0.634 0.427
0.103 0.383 0.858
0.193 0.859 0.199
0.133 0.366 0.073
0.279 0.742 0.028
0.367 0.366 0.573
0.676 0.857 0.972
0.176 0.143 0.528
0.916 0.681 0.739
0.434 0.567 0.880
0.631 0.080 0.664
0.084 0.319 0.261
0.824 0.857 0.472
0.566 0.433 0.120
0.131 0.920 0.836
0.869 0.080 0.164
0.584 0.681 0.239
0.324 0.143 0.028
0.416 0.319 0.761
0.066 0.567 0.380
0.369 0.920 0.336
0.934 0.433 0.620
0.052 0.587 0.040
0.552 0.413 0.460
0.948 0.413 0.960
0.448 0.587 0.540
0.626 0.241 0.371
0.374 0.759 0.629
0.874 0.241 0.871
0.126 0.759 0.129
```

Its symmetry is P2_1/c, No. 14. As for the total energy: -11.178 eV/atom.



Rb2ZrO3: optimized geometry, meta-GGA r2SCAN.

POSCAR file:
```
Rb2ZrO3
1.0
5.901 0.000 0.000
0.000 7.366 0.000
0.000 0.000 10.794
Rb Zr O
8 4 12
direct
0.242 0.608 0.413
0.742 0.892 0.087
0.258 0.108 0.587
0.758 0.392 0.587
0.242 0.608 0.087
0.258 0.108 0.913
0.758 0.392 0.913
0.742 0.892 0.413
0.735 0.838 0.750
0.765 0.338 0.250
0.265 0.162 0.250
0.235 0.662 0.750
0.491 0.741 0.626
0.203 0.404 0.750
0.509 0.259 0.126
0.797 0.596 0.250
0.491 0.741 0.874
0.991 0.759 0.874
0.991 0.759 0.626
0.009 0.241 0.126
0.009 0.241 0.374
0.509 0.259 0.374
0.297 0.904 0.250
0.703 0.096 0.750
```

Its symmetry is Pnma, No. 62. As for the total energy: -14.107 eV/atom.



Rb2ZrO3: optimized geometry, meta-GGA r2SCAN.

POSCAR file:
```
Rb2ZrO3
1.0
-4.073 -3.435 -3.788
2.914 -3.818 4.435
-4.402 1.041 3.789
O Zr Rb
6 2 4
direct
0.346 0.346 0.206
0.134 0.885 0.493
0.654 0.654 0.706
0.866 0.115 0.993
0.115 0.866 0.993
0.885 0.134 0.493
0.912 0.912 0.737
0.088 0.088 0.237
0.520 0.195 0.756
0.480 0.805 0.256
0.195 0.520 0.756
0.805 0.480 0.256
```

Its symmetry is Cmc2_1, No. 36. As for the total energy: -14.107 eV/atom.



ReO3: optimized geometry, meta-GGA r2SCAN.

POSCAR file:
```
ReO3
1.0
3.762 0.000 0.000
0.000 5.322 0.000
0.000 0.000 5.322
O Re
6 2
direct
0.000 0.500 0.500
0.500 0.262 0.238
0.500 0.238 0.738
0.000 0.000 0.000
0.500 0.738 0.762
0.500 0.762 0.262
0.500 0.500 0.500
0.500 0.000 0.000
```

Its symmetry is P4/mbm, No. 127. As for the total energy: -19.257 eV/atom.



ReO3: optimized geometry, meta-GGA r2SCAN.

POSCAR file:
```
ReO3
1.0
3.525 -3.675 1.555
4.923 0.004 -2.029
4.136 1.398 3.047
O Re
6 2
direct
0.234 0.260 0.747
0.747 0.234 0.260
0.760 0.734 0.247
0.247 0.760 0.734
0.734 0.247 0.760
0.260 0.747 0.234
0.497 0.497 0.497
0.997 0.997 0.997
```

Its symmetry is R-3c, No. 167. As for the total energy: -19.250 eV/atom.



ReO3: optimized geometry, meta-GGA r2SCAN.

POSCAR file:
```
ReO3
1.0
6.509 0.069 0.258
-2.410 3.269 5.094
-2.115 -6.159 0.175
O Re
12 4
direct
0.500 0.258 0.241
0.241 0.500 0.258
0.742 0.759 0.500
0.759 0.017 0.258
0.983 0.742 0.241
0.742 0.241 0.983
0.241 0.983 0.742
0.500 0.742 0.759
0.759 0.500 0.742
0.258 0.759 0.017
0.258 0.241 0.500
0.017 0.258 0.759
0.500 0.000 0.000
0.000 0.000 0.500
0.000 0.500 0.000
0.500 0.500 0.500
```

Its symmetry is Im-3, No. 204. As for the total energy: -19.258 eV/atom.



ReO3: optimized geometry, meta-GGA r2SCAN.

POSCAR file:
```
ReO3
1.0
5.450 3.484 0.830
-4.209 1.374 4.788
1.443 -6.358 0.132
Re O
4 12
direct
0.000 0.000 0.500
0.500 0.000 0.000
0.000 0.500 0.000
0.500 0.500 0.500
0.250 0.500 0.250
0.001 0.250 0.750
0.250 0.250 0.500
0.250 0.750 0.001
0.500 0.750 0.750
0.250 0.999 0.750
0.999 0.750 0.250
0.500 0.250 0.250
0.750 0.750 0.500
0.750 0.250 0.999
0.750 0.001 0.250
0.750 0.500 0.750
```

As for the total energy: -19.258 eV/atom.



ReO3: optimized geometry, meta-GGA r2SCAN.

POSCAR file:
```
ReO3
1.0
2.434 -4.216 0.000
2.434 4.216 0.000
0.000 0.000 4.469
Re O
2 6
direct
0.333 0.667 0.250
0.667 0.333 0.750
0.000 0.373 0.000
0.627 0.627 0.000
0.373 0.000 0.000
0.000 0.627 0.500
0.373 0.373 0.500
0.627 0.000 0.500
```

Its symmetry is P6_322, No. 182. As for the total energy: -19.185 eV/atom.